Record 1
# EuSn3

A relaxed EuSn3 crystal (PBE, Materials Project).

Geometry as POSCAR:
```
EuSn3
1.0
4.791 0.000 0.000
0.000 4.791 0.000
0.000 0.000 4.791
Eu Sn
1 3
Cartesian
0.000 0.000 0.000 Eu
0.000 2.396 2.396 Sn
2.396 0.000 2.396 Sn
2.396 2.396 0.000 Sn
```

Summary:
* formation energy: -500 meV per atom
* symmetry: Pm-3m, No. 221

Record 2
# PuB

A relaxed PuB crystal (PBE, Materials Project).

Geometry as POSCAR:
```
PuB
1.0
0.000 2.581 2.581
2.581 0.000 2.581
2.581 2.581 0.000
Pu B
1 1
Cartesian
0.000 0.000 0.000 Pu
2.581 2.581 2.581 B
```

Summary:
* size of the total moment: 5.1 Bohr magnetons per cell
* formation energy: 502 meV per atom
* symmetry: Fm-3m, No. 225

Record 3
# Ca3SiBr2

A relaxed Ca3SiBr2 crystal (PBE, Materials Project).

Geometry as POSCAR:
```
Ca3SiBr2
1.0
2.142 1.237 11.727
-2.142 1.237 11.727
0.000 -2.474 11.727
Ca Si Br
3 1 2
Cartesian
0.000 0.000 0.000 Ca
0.000 0.000 3.224 Ca
0.000 0.000 30.845 Ca
0.000 0.000 25.060 Si
0.000 0.000 9.060 Br
0.000 0.000 17.447 Br
```

Summary:
* size of the total moment: 0.0 Bohr magnetons per cell
* formation energy: -1157 meV per atom
* symmetry: R3m, No. 160

Record 4
# Mg6CrGa

A relaxed Mg6CrGa crystal (PBE, Materials Project).

Geometry as POSCAR:
```
Mg6CrGa
1.0
4.987 0.000 0.000
0.000 6.153 0.000
0.000 0.000 10.729
Mg Cr Ga
12 2 2
Cartesian
2.494 1.544 9.834 Mg
0.000 1.553 6.284 Mg
0.000 3.077 3.559 Mg
0.000 4.630 0.920 Mg
0.000 0.000 8.923 Mg
2.494 4.609 9.834 Mg
0.000 4.600 6.284 Mg
2.494 1.532 4.469 Mg
0.000 3.077 8.907 Mg
0.000 0.000 3.542 Mg
2.494 4.621 4.469 Mg
0.000 1.523 0.920 Mg
2.494 3.077 7.157 Cr
2.494 0.000 1.793 Cr
2.494 0.000 7.153 Ga
2.494 3.077 1.788 Ga
```

Summary:
* size of the total moment: 8.1 Bohr magnetons per cell
* formation energy: 98 meV per atom

Record 5
# Rb2RuAuF6

A relaxed Rb2RuAuF6 crystal (PBE, Materials Project).

Geometry as POSCAR:
```
Rb2RuAuF6
1.0
0.000 4.483 4.483
4.483 0.000 4.483
4.483 4.483 0.000
Rb Ru Au F
2 1 1 6
Cartesian
2.242 2.242 2.242 Rb
6.725 6.725 6.725 Rb
0.000 0.000 0.000 Ru
4.483 4.483 4.483 Au
4.483 4.483 2.040 F
4.483 2.040 4.483 F
6.927 4.483 4.483 F
2.040 4.483 4.483 F
4.483 6.927 4.483 F
4.483 4.483 6.927 F
```

Summary:
* size of the total moment: 1.0 Bohr magnetons per cell
* formation energy: -2057 meV per atom
* symmetry: Fm-3m, No. 225

Record 6
# Na7Al2Ga2SiP5O24

A relaxed Na7Al2Ga2SiP5O24 crystal (PBE, Materials Project).

Geometry as POSCAR:
```
Na7Al2Ga2SiP5O24
1.0
8.713 0.000 0.000
-4.356 7.547 0.000
-0.068 -0.136 21.732
Na Al Ga Si P O
21 6 6 3 15 72
Cartesian
0.000 0.000 0.000 Na
-1.616 2.693 10.898 Na
-2.824 5.230 9.087 Na
-1.196 2.486 3.635 Na
-0.049 0.385 14.537 Na
-2.781 5.161 19.960 Na
-1.204 2.870 18.127 Na
0.434 0.192 7.272 Na
2.686 0.124 18.136 Na
-0.029 5.001 7.279 Na
-1.186 7.479 10.868 Na
1.587 2.636 16.315 Na
1.614 2.711 5.459 Na
0.380 5.171 14.509 Na
3.203 0.487 3.669 Na
2.769 5.223 3.659 Na
5.915 0.203 1.826 Na
4.324 2.941 7.236 Na
5.917 0.158 12.703 Na
3.154 4.926 18.143 Na
4.783 2.763 0.051 Na
-2.779 5.244 5.848 Al
-2.722 5.225 1.459 Al
5.916 0.126 9.460 Al
5.889 0.251 5.066 Al
5.900 0.065 20.330 Al
5.913 0.184 15.941 Al
-2.849 5.186 12.332 Ga
-2.840 5.189 16.701 Ga
1.510 2.605 19.575 Ga
1.609 2.676 8.704 Ga
1.635 2.757 2.209 Ga
1.613 2.677 13.073 Ga
3.409 0.170 7.269 Si
4.708 3.066 3.652 Si
8.402 0.125 18.137 Si
-1.574 2.963 14.516 P
-4.035 7.403 3.648 P
0.260 0.463 10.891 P
-0.947 2.787 0.033 P
-0.271 5.256 3.652 P
-1.496 7.401 14.514 P
2.900 0.500 0.025 P
0.339 4.899 10.889 P
0.304 5.523 18.127 P
2.845 4.979 0.020 P
4.114 2.698 10.887 P
4.660 2.272 18.143 P
2.832 5.597 7.257 P
3.365 5.165 14.518 P
7.174 2.361 7.275 P
-2.176 3.771 7.124 O
-3.694 6.345 18.012 O
-1.859 4.024 0.184 O
-3.394 6.639 11.038 O
-3.359 6.789 4.893 O
-1.733 3.869 15.765 O
0.450 1.360 12.141 O
-0.075 2.456 1.273 O
0.001 2.541 7.401 O
0.660 1.453 18.262 O
0.959 1.085 9.651 O
-0.163 2.893 20.506 O
0.936 1.279 3.519 O
-2.156 6.681 0.214 O
-0.016 2.827 14.391 O
-1.220 5.037 11.014 O
-1.133 4.981 4.907 O
-2.196 6.780 15.754 O
-1.911 6.393 7.087 O
-1.235 5.331 18.002 O
-1.156 5.546 2.436 O
-1.686 6.503 13.264 O
2.137 0.991 20.518 O
0.498 3.993 9.640 O
0.619 3.987 3.515 O
2.158 1.225 14.367 O
2.449 1.508 7.399 O
0.950 4.113 18.260 O
0.935 4.266 12.155 O
2.707 1.411 1.268 O
-0.025 7.437 8.579 O
0.498 6.420 19.352 O
0.668 6.486 3.804 O
4.390 -0.054 14.698 O
0.945 6.141 16.867 O
4.340 0.474 5.971 O
2.182 4.188 7.390 O
3.121 2.463 18.268 O
0.949 6.310 10.745 O
4.364 0.289 21.570 O
3.227 2.368 12.095 O
2.213 4.354 1.277 O
3.068 2.899 3.522 O
2.439 3.934 14.375 O
2.624 3.929 20.508 O
3.279 2.963 9.619 O
4.861 1.376 16.919 O
2.184 6.221 5.997 O
5.019 1.432 10.734 O
2.162 6.251 21.603 O
2.459 6.432 14.669 O
5.387 1.571 3.794 O
5.295 1.652 19.406 O
2.620 6.489 8.483 O
4.199 4.901 15.787 O
4.918 4.015 4.960 O
4.399 5.119 0.173 O
5.039 3.929 11.030 O
4.252 5.495 13.310 O
7.495 -0.003 3.814 O
3.125 7.385 19.446 O
6.529 1.553 14.661 O
4.371 5.421 7.126 O
5.309 3.681 18.014 O
5.399 3.740 2.341 O
6.527 1.726 8.520 O
7.443 0.372 10.705 O
6.797 1.378 21.611 O
7.489 0.413 16.826 O
6.997 1.469 6.025 O
4.908 6.540 2.393 O
6.542 3.598 13.250 O
```

Summary:
* size of the total moment: 0.0 Bohr magnetons per cell
* formation energy: -2722 meV per atom
* symmetry: P1, No. 1

Record 7
# Ce14Si11Ni6

A relaxed Ce14Si11Ni6 crystal (PBE, Materials Project).

Geometry as POSCAR:
```
Ce14Si11Ni6
1.0
4.145 0.000 0.000
2.073 16.860 0.000
0.001 8.357 19.231
Ce Si Ni
28 22 12
Cartesian
0.000 0.000 0.000 Ce
0.002 1.645 3.777 Ce
2.073 20.107 7.659 Ce
2.061 16.186 11.964 Ce
2.069 17.546 15.574 Ce
2.060 18.978 19.111 Ce
2.056 12.189 11.332 Ce
2.056 13.583 14.837 Ce
2.057 14.970 18.356 Ce
2.058 8.181 10.587 Ce
2.065 9.613 14.111 Ce
2.059 10.976 17.709 Ce
4.133 15.562 2.826 Ce
4.131 22.093 18.248 Ce
4.143 17.141 6.689 Ce
4.149 20.551 14.381 Ce
4.153 18.803 10.461 Ce
4.135 12.073 2.404 Ce
4.141 14.850 9.387 Ce
4.148 13.416 5.962 Ce
4.131 8.013 1.748 Ce
4.131 9.405 5.234 Ce
4.136 10.779 8.717 Ce
4.129 3.940 1.069 Ce
4.137 5.383 4.510 Ce
4.133 6.733 8.063 Ce
4.133 5.057 11.457 Ce
6.207 23.477 15.295 Ce
2.060 13.945 1.204 Si
2.061 20.588 16.578 Si
2.086 19.099 12.732 Si
2.072 15.624 5.082 Si
2.072 17.124 8.956 Si
2.070 11.639 4.559 Si
2.076 12.966 8.268 Si
2.063 9.878 2.883 Si
2.062 8.922 7.587 Si
2.054 5.817 2.199 Si
2.058 7.169 5.905 Si
2.056 6.574 13.106 Si
2.074 1.670 1.500 Si
2.064 4.877 9.277 Si
2.079 3.165 5.393 Si
2.066 8.058 16.958 Si
4.135 15.829 14.128 Si
4.134 17.168 17.906 Si
4.126 14.030 12.459 Si
4.128 13.133 17.217 Si
4.133 10.000 11.792 Si
4.134 11.332 15.551 Si
2.049 13.783 3.617 Ni
2.066 15.217 7.437 Ni
2.051 11.127 6.786 Ni
2.057 7.667 3.674 Ni
2.057 3.555 3.032 Ni
2.069 5.021 6.851 Ni
4.159 17.997 13.193 Ni
4.131 19.424 17.039 Ni
4.134 15.345 16.382 Ni
4.127 11.828 13.305 Ni
4.126 7.742 12.636 Ni
4.137 9.163 16.484 Ni
```

Summary:
* size of the total moment: 20.7 Bohr magnetons per cell
* formation energy: -681 meV per atom
* symmetry: P1, No. 1

Record 8
# Dy3CuSiSe7

A relaxed Dy3CuSiSe7 crystal (PBE, Materials Project).

Geometry as POSCAR:
```
Dy3CuSiSe7
1.0
10.343 0.000 0.000
-5.171 8.957 0.000
0.000 0.000 6.017
Dy Cu Si Se
6 2 2 14
Cartesian
-0.476 3.185 0.000 Dy
-2.175 7.777 0.000 Dy
2.520 2.005 3.009 Dy
2.651 6.952 0.000 Dy
7.346 1.180 3.009 Dy
5.647 5.772 3.009 Dy
0.000 0.000 2.703 Cu
0.000 0.000 5.712 Cu
0.000 5.971 3.542 Si
5.171 2.986 0.534 Si
-0.332 2.343 2.830 Se
-1.958 5.191 4.478 Se
-2.977 8.073 2.830 Se
1.863 1.459 5.839 Se
0.000 5.971 1.269 Se
1.655 4.665 4.478 Se
0.303 8.057 4.478 Se
4.868 0.900 1.470 Se
3.516 4.292 1.470 Se
5.171 2.986 4.278 Se
3.309 7.498 2.830 Se
8.148 0.884 5.839 Se
7.130 3.766 1.470 Se
5.503 6.614 5.839 Se
```

Summary:
* size of the total moment: 0.0 Bohr magnetons per cell
* formation energy: -1582 meV per atom
* symmetry: P6_3, No. 173